Zn3InGaO6: optimized geometry, PBE-GGA.

a = 14.1731 Å, b = 14.1731 Å, c = 14.1731 Å
α = 13.52°, β = 13.52°, γ = 13.52°
With the nearest neighbours (Å) after each atom.
Positions (direct):
Zn1 0.0000 0.0000 0.0000  4 O 1.99-2.03
Zn2 0.1246 0.1246 0.1246  4 O 2.00-2.02
Zn3 0.5199 0.5199 0.5199  4 O 1.99-2.02
In1 0.2598 0.2598 0.2598  6 O 2.22
Ga1 0.3961 0.3961 0.3961  5 O 1.93-2.00
O1 0.0632 0.0632 0.0632  3 Ga 1.93
O2 0.1721 0.1721 0.1721  4 Zn 2.00-2.02
O3 0.3486 0.3486 0.3486  1 Ga 2.00, 3 Zn 2.03
O4 0.4436 0.4436 0.4436  1 Ga 2.00, 3 Zn 2.02
O5 0.5672 0.5672 0.5672  1 Zn 1.99, 3 In 2.22
O6 0.9528 0.9528 0.9528  1 Zn 1.99, 3 In 2.22

Results
Formation energy from the elements (meV/atom): -1948
Symmetry: R3m (160)
Size of the total moment (Bohr magnetons per cell): 0.001
Energy with MP2020 corrections (eV for the cell shown): -60.7